First-principles (PBE) data for a geometry-optimized MgTl2Pb16Br18O8 structure, as listed in the Materials Project database.

Crystal system = triclinic
Total magnetization = 0.00 μB/cell
DFT formation energy = -52.17 eV per formula unit
V = 31.2 Å³/atom
Distance to the lowest polymorph of the same formula = 0.000 eV/atom

a b c (Å): 8.5612 12.7563 12.8668
angles (deg): 88.07 89.72 88.20
Space group P1 (No. 1)
One atom of each set of equivalent atoms:
1 Mg 0.0000 0.0000 0.0000
2 Tl 0.3059 0.2228 0.6841
3 Tl 0.9940 0.6896 0.1906
4 Pb 0.0008 0.7687 0.8145
5 Pb 0.0018 0.0951 0.2543
6 Pb 0.0070 0.6666 0.5485
7 Pb 0.2726 0.2877 0.3197
8 Pb 0.2825 0.8552 0.6249
9 Pb 0.2939 0.5802 0.7402
10 Pb 0.2975 0.1714 0.0654
11 Pb 0.4584 0.4491 0.0963
12 Pb 0.4680 0.0000 0.2921
13 Pb 0.4679 0.7997 0.8993
14 Pb 0.4697 0.6381 0.4594
15 Pb 0.8144 0.9491 0.6002
16 Pb 0.8212 0.3088 0.4150
17 Pb 0.8294 0.4924 0.7677
18 Pb 0.8331 0.2408 0.9987
19 Pb 0.9921 0.4102 0.1379
20 Br 0.0294 0.0314 0.8070
21 Br 0.0308 0.1036 0.5128
22 Br 0.0391 0.4042 0.5552
23 Br 0.0754 0.3484 0.8579
24 Br 0.2448 0.8430 0.3690
25 Br 0.2472 0.6036 0.9977
26 Br 0.2503 0.8955 0.0602
27 Br 0.2647 0.5453 0.3119
28 Br 0.5131 0.1064 0.4838
29 Br 0.5139 0.3506 0.8958
30 Br 0.5151 0.9983 0.7915
31 Br 0.5308 0.4348 0.5775
32 Br 0.6356 0.2060 0.2030
33 Br 0.6479 0.7159 0.6906
34 Br 0.7319 0.5071 0.3007
35 Br 0.7608 0.8429 0.4059
36 Br 0.7706 0.5893 0.9693
37 Br 0.7731 0.8991 0.0676
38 O 0.0072 0.2785 0.2883
39 O 0.0141 0.8264 0.6369
40 O 0.0214 0.6096 0.7276
41 O 0.0349 0.1277 0.0754
42 O 0.2638 0.3330 0.1391
43 O 0.2693 0.1185 0.2446
44 O 0.2709 0.7624 0.7871
45 O 0.2738 0.6728 0.5783